No. 1
Entry from Materials Project: a geometry-optimized LaCu5Sn structure (GGA-PBE).

Structure (CIF):
```
data_LaCu5Sn
_chemical_formula_sum 'La4 Cu20 Sn4'
_space_group_name_H-M_alt 'P 1'
_space_group_IT_number 1
_cell_length_a 5.0928
_cell_length_b 8.3917
_cell_length_c 10.6818
_cell_angle_alpha 90.00
_cell_angle_beta 90.00
_cell_angle_gamma 90.00
loop_
_space_group_symop_operation_xyz
'x,y,z'
loop_
_atom_site_label
_atom_site_type_symbol
_atom_site_fract_x
_atom_site_fract_y
_atom_site_fract_z
Cu1 Cu 0.4987 0.0655 0.6874
Cu2 Cu 0.2500 0.9143 0.5166
Cu3 Cu 0.0013 0.5655 0.8126
Cu4 Cu 0.5013 0.4345 0.1874
Cu5 Cu 0.2500 0.8161 0.7459
Cu6 Cu 0.0013 0.0655 0.6874
Cu7 Cu 0.7500 0.9400 0.1065
Cu8 Cu 0.5013 0.9345 0.3126
Cu9 Cu 0.7500 0.1839 0.2541
Cu10 Cu 0.4987 0.5655 0.8126
Cu11 Cu 0.7500 0.0857 0.4834
Cu12 Cu 0.2500 0.5600 0.6065
Cu13 Cu 0.7500 0.6839 0.2459
Cu14 Cu 0.7500 0.5857 0.0166
Cu15 Cu 0.2500 0.3161 0.7541
Cu16 Cu 0.2500 0.4143 0.9834
Cu17 Cu 0.2500 0.0600 0.8935
Cu18 Cu 0.7500 0.4400 0.3935
Cu19 Cu 0.9987 0.4345 0.1874
Cu20 Cu 0.9987 0.9345 0.3126
Sn1 Sn 0.7500 0.3579 0.6381
Sn2 Sn 0.2500 0.6421 0.3619
Sn3 Sn 0.2500 0.1421 0.1381
Sn4 Sn 0.7500 0.8579 0.8619
La1 La 0.2500 0.2568 0.4383
La2 La 0.2500 0.7568 0.0617
La3 La 0.7500 0.2432 0.9383
La4 La 0.7500 0.7432 0.5617
```


No. 2
Entry from Materials Project: a geometry-optimized LaCuSn structure (GGA-PBE).

Output
Magnetic moment   0.1 μB/f.u.

Structure (CIF):
```
data_LaCuSn
_chemical_formula_sum 'La1 Cu1 Sn1'
_space_group_name_H-M_alt 'P 1'
_space_group_IT_number 1
_cell_length_a 4.4955
_cell_length_b 4.4946
_cell_length_c 4.3710
_cell_angle_alpha 90.00
_cell_angle_beta 90.00
_cell_angle_gamma 120.04
loop_
_space_group_symop_operation_xyz
'x,y,z'
loop_
_atom_site_label
_atom_site_type_symbol
_atom_site_fract_x
_atom_site_fract_y
_atom_site_fract_z
La1 La 0.0000 0.0000 0.0000
Sn1 Sn 0.6666 0.3334 0.5000
Cu1 Cu 0.3333 0.6666 0.5000
```


No. 3
Entry from Materials Project: a geometry-optimized LaCuSn structure (GGA-PBE).

Structure (CIF):
```
data_LaCuSn
_chemical_formula_sum 'La2 Cu2 Sn2'
_space_group_name_H-M_alt 'P 1'
_space_group_IT_number 1
_cell_length_a 4.6109
_cell_length_b 4.6109
_cell_length_c 8.2282
_cell_angle_alpha 90.00
_cell_angle_beta 90.00
_cell_angle_gamma 120.00
loop_
_space_group_symop_operation_xyz
'x,y,z'
loop_
_atom_site_label
_atom_site_type_symbol
_atom_site_fract_x
_atom_site_fract_y
_atom_site_fract_z
La1 La 0.0000 0.0000 0.0000
La2 La 0.0000 0.0000 0.5000
Sn1 Sn 0.3333 0.6667 0.7500
Sn2 Sn 0.6667 0.3333 0.2500
Cu1 Cu 0.3333 0.6667 0.2500
Cu2 Cu 0.6667 0.3333 0.7500
```


No. 4
Entry from Materials Project: a geometry-optimized La2CuTe4 structure (GGA-PBE).

Output
Magnetic moment   0.0 μB/f.u.

Structure (CIF):
```
data_La2CuTe4
_chemical_formula_sum 'La4 Cu2 Te8'
_space_group_name_H-M_alt 'P 1'
_space_group_IT_number 1
_cell_length_a 8.5526
_cell_length_b 6.5390
_cell_length_c 7.7472
_cell_angle_alpha 89.77
_cell_angle_beta 90.00
_cell_angle_gamma 90.00
loop_
_space_group_symop_operation_xyz
'x,y,z'
loop_
_atom_site_label
_atom_site_type_symbol
_atom_site_fract_x
_atom_site_fract_y
_atom_site_fract_z
Te1 Te 0.5936 0.0196 0.6159
Te2 Te 0.9105 0.4902 0.6161
Te3 Te 0.2489 0.2472 0.9238
Te4 Te 0.7489 0.7528 0.0762
Te5 Te 0.4105 0.5098 0.3839
Te6 Te 0.0936 0.9804 0.3841
Te7 Te 0.7486 0.2513 0.0862
Te8 Te 0.2486 0.7487 0.9138
La1 La 0.9410 0.0047 0.7630
La2 La 0.5563 0.5008 0.7724
La3 La 0.4410 0.9953 0.2370
La4 La 0.0563 0.4992 0.2276
Cu1 Cu 0.2031 0.6830 0.5864
Cu2 Cu 0.7031 0.3170 0.4136
```


| no. | formation energy (eV/atom) | E_tot (eV/atom) |
| --- | --- | --- |
| 1 | -0.2575 | -4.4634 |
| 2 | -0.5523 | -4.9005 |
| 3 | -0.5955 | -4.9438 |
| 4 | -1.4035 | -4.9544 |